6
Lattice="0.0000 3.5452 3.5452 3.5452 0.0000 3.5452 3.5452 3.5452 0.0000" Properties=species:S:1:pos:R:3 comment="TmCu4Ag (PBE, optimized geometry)" sg="F-43m (216)" pbc="T T T"
Tm 0.0000 0.0000 0.0000
Cu 4.4265 2.6639 2.6639
Cu 2.6639 4.4265 2.6639
Cu 2.6639 2.6639 4.4265
Cu 4.4265 4.4265 4.4265
Ag 1.7726 1.7726 1.7726



6
Lattice="0.0000 3.5781 3.5781 3.5781 0.0000 3.5781 3.5781 3.5781 0.0000" Properties=species:S:1:pos:R:3 comment="UCu4Ag (PBE, optimized geometry)" sg="F-43m (216)" total_magnetization_mub_per_fu=1.65 pbc="T T T"
U 0.0000 0.0000 0.0000
Cu 2.6915 2.6915 2.6915
Cu 4.4646 4.4646 2.6915
Cu 4.4646 2.6915 4.4646
Cu 2.6915 4.4646 4.4646
Ag 5.3671 5.3671 5.3671



6
Lattice="0.0000 3.5017 3.5017 3.5017 0.0000 3.5017 3.5017 3.5017 0.0000" Properties=species:S:1:pos:R:3 comment="ZrCu4Ag (PBE, optimized geometry)" sg="F-43m (216)" pbc="T T T"
Zr 0.0000 0.0000 0.0000
Cu 4.3733 2.6301 2.6301
Cu 2.6301 4.3733 2.6301
Cu 2.6301 2.6301 4.3733
Cu 4.3733 4.3733 4.3733
Ag 1.7509 1.7509 1.7509



65
Lattice="12.8012 0.0000 0.0000 -6.4006 11.0862 0.0000 0.0000 0.0000 9.3958" Properties=species:S:1:pos:R:3 comment="Dy14Ag51 (PBE, optimized geometry)" sg="P-6 (174)" total_magnetization_mub_per_fu=0.39 pbc="T T T"
Dy 0.0000 0.0000 1.8116
Dy 0.0000 0.0000 7.5842
Dy -1.0241 4.2763 4.6979
Dy -2.5201 7.4433 0.0000
Dy -2.1852 9.8349 4.6979
Dy 1.2146 5.1821 0.0000
Dy 3.3120 3.1358 4.6979
Dy 5.0993 1.5253 0.0000
Dy 1.3055 9.5470 0.0000
Dy 3.2093 8.0611 4.6979
Dy 5.1719 5.9074 0.0000
Dy 8.4295 1.3003 4.6979
Dy 8.9306 3.6535 0.0000
Dy 7.4603 6.6500 4.6979
Ag -0.7566 2.6349 0.0000
Ag -4.1915 8.9574 2.4588
Ag -4.1915 8.9574 6.9370
Ag -1.4624 4.8679 1.5726
Ag -1.4624 4.8679 7.8232
Ag -2.4884 6.8782 3.2713
Ag -2.4884 6.8782 6.1245
Ag 0.9959 1.2727 4.6979
Ag -3.7404 10.4239 0.0000
Ag 0.7390 2.9776 2.4588
Ag 0.7390 2.9776 6.9370
Ag 1.9133 1.9734 0.0000
Ag 2.9072 0.8198 2.5156
Ag 2.9072 0.8198 6.8802
Ag 0.0000 7.3908 1.8426
Ag 0.0000 7.3908 4.6979
Ag 0.0000 7.3908 7.5532
Ag -1.4537 9.9187 1.5726
Ag -1.4537 9.9187 7.8232
Ag 1.6881 5.4920 3.2713
Ag 1.6881 5.4920 6.1245
Ag 3.4935 3.7074 1.5669
Ag 3.4935 3.7074 7.8289
Ag 5.5764 1.2767 3.2668
Ag 5.5764 1.2767 6.1290
Ag 0.8003 9.8021 3.2713
Ag 0.8003 9.8021 6.1245
Ag 2.9161 7.3857 1.5726
Ag 2.9161 7.3857 7.8232
Ag 4.7180 5.6185 3.2668
Ag 4.7180 5.6185 6.1290
Ag 7.8438 1.1718 1.5669
Ag 7.8438 1.1718 7.8289
Ag 6.4006 3.6954 1.8373
Ag 6.4006 3.6954 4.6979
Ag 6.4006 3.6954 7.5585
Ag 3.4525 10.2374 2.4588
Ag 3.4525 10.2374 6.9370
Ag 4.4970 9.1135 0.0000
Ag 5.6569 8.1586 2.5156
Ag 5.6569 8.1586 6.8802
Ag 10.1355 0.6702 0.0000
Ag 11.2011 0.2262 4.6979
Ag 8.9073 4.1910 3.2668
Ag 8.9073 4.1910 6.1290
Ag 7.8645 6.2070 1.5669
Ag 7.8645 6.2070 7.8289
Ag 10.6377 2.1078 2.5156
Ag 10.6377 2.1078 6.8802
Ag 7.1530 8.4425 0.0000
Ag 7.0048 9.5874 4.6979



3
Lattice="-1.8787 1.8787 4.6232 1.8787 -1.8787 4.6232 1.8787 1.8787 -4.6232" Properties=species:S:1:pos:R:3 comment="DyAg2 (PBE, optimized geometry)" sg="I4/mmm (139)" pbc="T T T"
Dy 0.0000 0.0000 0.0000
Ag 0.0000 0.0000 3.0582
Ag 0.0000 0.0000 6.1882



23
Lattice="9.8471 0.0000 0.0000 -4.9235 8.5278 0.0000 0.0000 0.0000 5.7931" Properties=species:S:1:pos:R:3 comment="Dy6AgGe2S14 (PBE, optimized geometry)" sg="P3 (143)" total_magnetization_mub_per_fu=1.01 pbc="T T T"
Dy -2.4946 4.7347 0.0000
Dy 2.5073 0.9587 2.8990
Dy 2.0704 4.0001 0.0000
Dy 0.4242 8.3208 0.0000
Dy 4.5001 5.8771 2.8990
Dy 7.7632 1.6920 2.8990
Ag 4.9235 2.8426 4.2723
Ge 0.0000 0.0000 0.4472
Ge 0.0000 5.6852 3.3654
S 0.0000 0.0000 4.0390
S -3.3177 7.2701 1.3933
S 0.2863 2.0195 1.3933
S -0.2814 3.6709 4.3055
S -1.6037 6.9361 4.3055
S 0.0000 5.6852 1.1607
S 3.1087 1.4781 5.5571
S 2.8614 3.6888 2.6829
S 5.2218 0.6337 2.6829
S 1.8851 6.4486 4.3055
S 3.0314 7.7660 1.3933
S 4.6492 5.0966 5.5571
S 7.0127 1.9532 5.5571
S 6.6874 4.2054 2.6829



Number 1: electronic total energy -4.1973 eV per atom, formation energy from the elements -0.246 eV/atom. Number 2: electronic total energy -5.0044 eV per atom, formation energy from the elements 0.082 eV/atom. Number 3: electronic total energy -4.7797 eV per atom, formation energy from the elements -0.150 eV/atom. Number 4: electronic total energy -3.4582 eV per atom, formation energy from the elements -0.244 eV/atom. Number 5: electronic total energy -3.7531 eV per atom, formation energy from the elements -0.329 eV/atom. Number 6: electronic total energy -5.6567 eV per atom, formation energy from the elements -1.718 eV/atom.